Entry 1:
VASP calculation (r2SCAN) on RbAs2Ru2 after structural relaxation.

Computed properties:
Total magnetic moment: 0.0 μB/cell
V: 114.38 Å³/cell
Formation energy from the elements: -485 meV/atom

Geometry as CIF:
```
data_RbAs2Ru2
_chemical_formula_sum 'Rb1 As2 Ru2'
_space_group_name_H-M_alt 'P 1'
_space_group_IT_number 1
_space_group_name_Hall 'P 1'
_cell_length_a 7.468
_cell_length_b 7.468
_cell_length_c 7.468
_cell_angle_alpha 148.34
_cell_angle_beta 148.34
_cell_angle_gamma 45.38
loop_
_atom_site_label
_atom_site_type_symbol
_atom_site_fract_x
_atom_site_fract_y
_atom_site_fract_z
Rb1 Rb 0.000 0.000 0.000
As1 As 0.344 0.344 0.000
As2 As 0.656 0.656 0.000
Ru1 Ru 0.250 0.750 0.500
Ru2 Ru 0.750 0.250 0.500
```



Entry 2:
VASP calculation (r2SCAN) on Gd2SnS5 after structural relaxation.

Computed properties:
Total magnetic moment: 28.0 μB/cell
V: 339.96 Å³/cell
Formation energy from the elements: -1637 meV/atom

Geometry as CIF:
```
data_Gd2SnS5
_chemical_formula_sum 'Gd4 Sn2 S10'
_space_group_name_H-M_alt 'P 1'
_space_group_IT_number 1
_space_group_name_Hall 'P 1'
_cell_length_a 7.790
_cell_length_b 11.366
_cell_length_c 3.840
_cell_angle_alpha 90.00
_cell_angle_beta 90.00
_cell_angle_gamma 90.00
loop_
_atom_site_label
_atom_site_type_symbol
_atom_site_fract_x
_atom_site_fract_y
_atom_site_fract_z
Gd1 Gd 0.031 0.173 0.000
Gd2 Gd 0.469 0.673 0.000
Gd3 Gd 0.531 0.327 0.000
Gd4 Gd 0.969 0.827 0.000
Sn1 Sn 0.000 0.500 0.500
Sn2 Sn 0.500 0.000 0.500
S1 S 0.000 0.000 0.500
S2 S 0.170 0.407 0.000
S3 S 0.174 0.694 0.500
S4 S 0.326 0.194 0.500
S5 S 0.330 0.907 0.000
S6 S 0.500 0.500 0.500
S7 S 0.670 0.093 0.000
S8 S 0.674 0.806 0.500
S9 S 0.826 0.306 0.500
S10 S 0.830 0.593 0.000
```



Entry 3:
VASP calculation (r2SCAN) on Sr2ScVO6 after structural relaxation.

Computed properties:
Total magnetic moment: 0.0 μB/cell
V: 123.03 Å³/cell
Formation energy from the elements: -3232 meV/atom

Geometry as CIF:
```
data_Sr2ScVO6
_chemical_formula_sum 'Sr2 Sc1 V1 O6'
_space_group_name_H-M_alt 'P 1'
_space_group_IT_number 1
_space_group_name_Hall 'P 1'
_cell_length_a 5.583
_cell_length_b 5.583
_cell_length_c 5.583
_cell_angle_alpha 60.00
_cell_angle_beta 60.00
_cell_angle_gamma 60.00
loop_
_atom_site_label
_atom_site_type_symbol
_atom_site_fract_x
_atom_site_fract_y
_atom_site_fract_z
Sr1 Sr 0.250 0.250 0.250
Sr2 Sr 0.750 0.750 0.750
Sc1 Sc 0.000 0.000 0.000
V1 V 0.500 0.500 0.500
O1 O 0.262 0.262 0.738
O2 O 0.262 0.738 0.262
O3 O 0.262 0.738 0.738
O4 O 0.738 0.262 0.262
O5 O 0.738 0.262 0.738
O6 O 0.738 0.738 0.262
```



Entry 4:
VASP calculation (r2SCAN) on Hf5CoP3 after structural relaxation.

Computed properties:
Total magnetic moment: 0.0 μB/cell
V: 614.75 Å³/cell
Formation energy from the elements: -1136 meV/atom

Geometry as CIF:
```
data_Hf5CoP3
_chemical_formula_sum 'Hf20 Co4 P12'
_space_group_name_H-M_alt 'P 1'
_space_group_IT_number 1
_space_group_name_Hall 'P 1'
_cell_length_a 16.933
_cell_length_b 3.572
_cell_length_c 10.165
_cell_angle_alpha 90.00
_cell_angle_beta 90.00
_cell_angle_gamma 90.00
loop_
_atom_site_label
_atom_site_type_symbol
_atom_site_fract_x
_atom_site_fract_y
_atom_site_fract_z
Hf1 Hf 0.023 0.250 0.122
Hf2 Hf 0.075 0.750 0.560
Hf3 Hf 0.131 0.250 0.816
Hf4 Hf 0.169 0.750 0.254
Hf5 Hf 0.227 0.250 0.488
Hf6 Hf 0.273 0.750 0.988
Hf7 Hf 0.331 0.250 0.754
Hf8 Hf 0.369 0.750 0.316
Hf9 Hf 0.425 0.250 0.060
Hf10 Hf 0.477 0.750 0.622
Hf11 Hf 0.523 0.250 0.378
Hf12 Hf 0.575 0.750 0.940
Hf13 Hf 0.631 0.250 0.684
Hf14 Hf 0.669 0.750 0.246
Hf15 Hf 0.727 0.250 0.012
Hf16 Hf 0.773 0.750 0.512
Hf17 Hf 0.831 0.250 0.746
Hf18 Hf 0.869 0.750 0.184
Hf19 Hf 0.925 0.250 0.440
Hf20 Hf 0.977 0.750 0.878
Co1 Co 0.089 0.250 0.365
Co2 Co 0.411 0.750 0.865
Co3 Co 0.589 0.250 0.135
Co4 Co 0.911 0.750 0.635
P1 P 0.010 0.750 0.312
P2 P 0.117 0.750 0.007
P3 P 0.217 0.750 0.685
P4 P 0.283 0.250 0.185
P5 P 0.383 0.250 0.507
P6 P 0.490 0.250 0.812
P7 P 0.510 0.750 0.188
P8 P 0.617 0.750 0.493
P9 P 0.717 0.750 0.815
P10 P 0.783 0.250 0.315
P11 P 0.883 0.250 0.993
P12 P 0.990 0.250 0.688
```



Entry 5:
VASP calculation (r2SCAN) on Y3Pt after structural relaxation.

Computed properties:
Total magnetic moment: 2.1 μB/cell
V: 448.75 Å³/cell
Formation energy from the elements: -765 meV/atom

Geometry as CIF:
```
data_Y3Pt
_chemical_formula_sum 'Y12 Pt4'
_space_group_name_H-M_alt 'P 1'
_space_group_IT_number 1
_space_group_name_Hall 'P 1'
_cell_length_a 7.084
_cell_length_b 9.757
_cell_length_c 6.492
_cell_angle_alpha 90.00
_cell_angle_beta 90.00
_cell_angle_gamma 90.00
loop_
_atom_site_label
_atom_site_type_symbol
_atom_site_fract_x
_atom_site_fract_y
_atom_site_fract_z
Y1 Y 0.031 0.250 0.138
Y2 Y 0.174 0.064 0.680
Y3 Y 0.174 0.436 0.680
Y4 Y 0.326 0.564 0.180
Y5 Y 0.326 0.936 0.180
Y6 Y 0.469 0.750 0.638
Y7 Y 0.531 0.250 0.362
Y8 Y 0.674 0.064 0.820
Y9 Y 0.674 0.436 0.820
Y10 Y 0.826 0.564 0.320
Y11 Y 0.826 0.936 0.320
Y12 Y 0.969 0.750 0.862
Pt1 Pt 0.117 0.750 0.448
Pt2 Pt 0.383 0.250 0.948
Pt3 Pt 0.617 0.750 0.052
Pt4 Pt 0.883 0.250 0.552
```



Entry 6:
VASP calculation (r2SCAN) on Be2PdRh after structural relaxation.

Computed properties:
Total magnetic moment: 0.0 μB/cell
V: 43.19 Å³/cell
Formation energy from the elements: -663 meV/atom

Geometry as CIF:
```
data_Be2PdRh
_chemical_formula_sum 'Be2 Pd1 Rh1'
_space_group_name_H-M_alt 'P 1'
_space_group_IT_number 1
_space_group_name_Hall 'P 1'
_cell_length_a 3.938
_cell_length_b 3.938
_cell_length_c 3.938
_cell_angle_alpha 60.00
_cell_angle_beta 60.00
_cell_angle_gamma 60.00
loop_
_atom_site_label
_atom_site_type_symbol
_atom_site_fract_x
_atom_site_fract_y
_atom_site_fract_z
Be1 Be 0.250 0.250 0.250
Be2 Be 0.750 0.750 0.750
Pd1 Pd 0.000 0.000 0.000
Rh1 Rh 0.500 0.500 0.500
```



Entry 7:
VASP calculation (r2SCAN) on MnCr2S4 after structural relaxation.

Computed properties:
Total magnetic moment: 22.0 μB/cell
V: 259.57 Å³/cell
Formation energy from the elements: -1105 meV/atom

Geometry as CIF:
```
data_MnCr2S4
_chemical_formula_sum 'Mn2 Cr4 S8'
_space_group_name_H-M_alt 'P 1'
_space_group_IT_number 1
_space_group_name_Hall 'P 1'
_cell_length_a 7.160
_cell_length_b 7.160
_cell_length_c 7.160
_cell_angle_alpha 60.00
_cell_angle_beta 60.00
_cell_angle_gamma 60.00
loop_
_atom_site_label
_atom_site_type_symbol
_atom_site_fract_x
_atom_site_fract_y
_atom_site_fract_z
Mn1 Mn 0.125 0.125 0.125
Mn2 Mn 0.875 0.875 0.875
Cr1 Cr 0.000 0.500 0.500
Cr2 Cr 0.500 0.000 0.500
Cr3 Cr 0.500 0.500 0.000
Cr4 Cr 0.500 0.500 0.500
S1 S 0.261 0.261 0.261
S2 S 0.261 0.261 0.717
S3 S 0.261 0.717 0.261
S4 S 0.283 0.739 0.739
S5 S 0.717 0.261 0.261
S6 S 0.739 0.283 0.739
S7 S 0.739 0.739 0.283
S8 S 0.739 0.739 0.739
```



Entry 8:
VASP calculation (r2SCAN) on Zr3Bi5 after structural relaxation.

Computed properties:
Total magnetic moment: 0.0 μB/cell
V: 847.57 Å³/cell
Formation energy from the elements: -354 meV/atom

Geometry as CIF:
```
data_Zr3Bi5
_chemical_formula_sum 'Zr12 Bi20'
_space_group_name_H-M_alt 'P 1'
_space_group_IT_number 1
_space_group_name_Hall 'P 1'
_cell_length_a 7.023
_cell_length_b 7.023
_cell_length_c 17.182
_cell_angle_alpha 90.00
_cell_angle_beta 90.00
_cell_angle_gamma 90.00
loop_
_atom_site_label
_atom_site_type_symbol
_atom_site_fract_x
_atom_site_fract_y
_atom_site_fract_z
Zr1 Zr 0.000 0.000 0.000
Zr2 Zr 0.000 0.000 0.325
Zr3 Zr 0.000 0.000 0.675
Zr4 Zr 0.000 0.500 0.250
Zr5 Zr 0.000 0.500 0.588
Zr6 Zr 0.000 0.500 0.912
Zr7 Zr 0.500 0.000 0.088
Zr8 Zr 0.500 0.000 0.412
Zr9 Zr 0.500 0.000 0.750
Zr10 Zr 0.500 0.500 0.175
Zr11 Zr 0.500 0.500 0.500
Zr12 Zr 0.500 0.500 0.825
Bi1 Bi 0.157 0.195 0.152
Bi2 Bi 0.157 0.733 0.448
Bi3 Bi 0.168 0.332 0.750
Bi4 Bi 0.195 0.843 0.848
Bi5 Bi 0.233 0.657 0.052
Bi6 Bi 0.267 0.157 0.552
Bi7 Bi 0.305 0.343 0.348
Bi8 Bi 0.332 0.832 0.250
Bi9 Bi 0.343 0.233 0.948
Bi10 Bi 0.343 0.695 0.652
Bi11 Bi 0.657 0.305 0.652
Bi12 Bi 0.657 0.767 0.948
Bi13 Bi 0.668 0.168 0.250
Bi14 Bi 0.695 0.657 0.348
Bi15 Bi 0.733 0.843 0.552
Bi16 Bi 0.767 0.343 0.052
Bi17 Bi 0.805 0.157 0.848
Bi18 Bi 0.832 0.668 0.750
Bi19 Bi 0.843 0.267 0.448
Bi20 Bi 0.843 0.805 0.152
```